Run 1
# ZnFe2O4

An optimized crystal structure of ZnFe2O4 (PBE+U, the Materials Project database).

Unit cell a=5.0572 b=5.8967 c=10.2326 alpha=90.00 beta=90.40 gamma=90.00
Positions (direct):
Zn 0.0000 0.0000 0.0000
Zn 0.0672 0.5000 0.5000
Zn 0.3889 0.5000 0.0002
Zn 0.6823 0.0000 0.5010
Fe 0.0282 0.5000 0.7617
Fe 0.0287 0.5000 0.2366
Fe 0.0473 0.0000 0.2654
Fe 0.0484 0.0000 0.7372
Fe 0.5383 0.2525 0.2499
Fe 0.5383 0.7475 0.2499
Fe 0.5385 0.2506 0.7507
Fe 0.5385 0.7494 0.7507
O 0.1993 0.2485 0.8598
O 0.1993 0.7515 0.8598
O 0.2024 0.2556 0.1367
O 0.2024 0.7444 0.1367
O 0.3360 0.5000 0.6522
O 0.3382 0.5000 0.3470
O 0.3873 0.0000 0.6436
O 0.3884 0.0000 0.3567
O 0.6921 0.5000 0.8574
O 0.6925 0.5000 0.1434
O 0.7393 0.0000 0.1531
O 0.7387 0.0000 0.8475
O 0.8740 0.2595 0.3621
O 0.8740 0.7405 0.3621
O 0.8766 0.2503 0.6402
O 0.8766 0.7497 0.6402

Computed properties:
As for the symmetry: Pm.

Run 2
# ZnFe2O4

An optimized crystal structure of ZnFe2O4 (PBE+U, the Materials Project database).

Unit cell a=5.9629 b=6.0876 c=29.6105 alpha=88.63 beta=88.39 gamma=60.95
Positions (direct):
Zn 0.0000 0.0000 0.0000
Zn 0.0037 0.9803 0.5075
Zn 0.0910 0.2732 0.7655
Zn 0.2866 0.4168 0.1624
Zn 0.3033 0.9076 0.1006
Zn 0.4217 0.6072 0.9316
Zn 0.4436 0.5910 0.4291
Zn 0.6218 0.7463 0.3296
Zn 0.6318 0.2399 0.2664
Zn 0.7564 0.9404 0.5998
Zn 0.9689 0.5907 0.4304
Fe 0.1360 0.2414 0.2659
Fe 0.1385 0.7323 0.2663
Fe 0.1481 0.7434 0.7639
Fe 0.2655 0.4567 0.8542
Fe 0.2978 0.4044 0.3479
Fe 0.3024 0.4096 0.5349
Fe 0.3204 0.4015 0.0355
Fe 0.3244 0.3280 0.6714
Fe 0.4706 0.0671 0.4336
Fe 0.4859 0.0728 0.9300
Fe 0.5946 0.7851 0.5230
Fe 0.6284 0.7773 0.0172
Fe 0.6475 0.7352 0.7007
Fe 0.6490 0.7297 0.2033
Fe 0.6580 0.6584 0.8356
Fe 0.8037 0.9161 0.1019
Fe 0.8060 0.4072 0.0988
Fe 0.8175 0.4000 0.5981
Fe 0.9329 0.1226 0.6887
Fe 0.9714 0.0759 0.3681
Fe 0.9712 0.0812 0.1819
Fe 0.9798 0.0720 0.8675
O 0.0270 0.0473 0.8046
O 0.1064 0.2439 0.1383
O 0.1106 0.7738 0.1418
O 0.1116 0.2343 0.6435
O 0.1233 0.7443 0.8912
O 0.1390 0.7295 0.3859
O 0.1422 0.2465 0.3939
O 0.1772 0.2247 0.8874
O 0.2833 0.4132 0.7308
O 0.2847 0.9197 0.7205
O 0.2851 0.9258 0.2251
O 0.2872 0.4130 0.2301
O 0.3068 0.3971 0.4687
O 0.3276 0.8851 0.4749
O 0.3371 0.8999 0.9752
O 0.3679 0.3783 0.9734
O 0.4295 0.1050 0.3067
O 0.4437 0.5648 0.8087
O 0.4467 0.5661 0.3057
O 0.4595 0.0804 0.5569
O 0.4903 0.0580 0.0603
O 0.5009 0.5743 0.0574
O 0.5021 0.5545 0.5542
O 0.6110 0.7546 0.8951
O 0.6165 0.2558 0.8874
O 0.6166 0.2426 0.3903
O 0.6318 0.7459 0.3973
O 0.6468 0.2448 0.6440
O 0.6500 0.7232 0.1377
O 0.6605 0.2338 0.1386
O 0.6973 0.7098 0.6375
O 0.7827 0.8836 0.4742
O 0.7847 0.8961 0.9733
O 0.7893 0.4112 0.7253
O 0.8157 0.9128 0.2245
O 0.8310 0.3841 0.2250
O 0.8414 0.8923 0.7209
O 0.9448 0.5822 0.5537
O 0.9493 0.0818 0.5672
O 0.9515 0.5846 0.0580
O 0.9574 0.0908 0.0634
O 0.9788 0.0710 0.3024
O 0.9832 0.5752 0.8090
O 0.9922 0.5480 0.3049

Computed properties:
As for the symmetry: P1.

Run 3
# ZnFe2O4

An optimized crystal structure of ZnFe2O4 (PBE+U, the Materials Project database).

Unit cell a=6.0517 b=6.0517 c=29.6079 alpha=90.00 beta=90.00 gamma=120.00
Positions (direct):
Zn 0.0000 0.0000 0.0000
Zn 0.0000 0.0000 0.1228
Zn 0.0000 0.0000 0.3111
Zn 0.0000 0.0000 0.4998
Zn 0.0000 0.0000 0.6247
Zn 0.3333 0.6667 0.1444
Zn 0.3333 0.6667 0.4581
Zn 0.3333 0.6667 0.8330
Zn 0.3333 0.6667 0.9578
Zn 0.6667 0.3333 0.2900
Zn 0.6667 0.3333 0.6665
Zn 0.6667 0.3333 0.7913
Fe 0.0000 0.0000 0.8125
Fe 0.0002 0.5001 0.5622
Fe 0.0038 0.5019 0.0621
Fe 0.1641 0.3281 0.2288
Fe 0.1641 0.8359 0.2288
Fe 0.1665 0.3330 0.7289
Fe 0.1665 0.8335 0.7289
Fe 0.3333 0.6667 0.3331
Fe 0.3333 0.6667 0.6457
Fe 0.3341 0.1670 0.8958
Fe 0.3351 0.1676 0.3953
Fe 0.4981 0.5019 0.0621
Fe 0.4981 0.9962 0.0621
Fe 0.4999 0.9998 0.5622
Fe 0.4999 0.5001 0.5622
Fe 0.6667 0.3333 0.1670
Fe 0.6667 0.3333 0.4790
Fe 0.6667 0.3333 0.9793
Fe 0.6670 0.8335 0.7289
Fe 0.6719 0.8359 0.2288
Fe 0.8324 0.1676 0.3953
Fe 0.8324 0.6649 0.3953
Fe 0.8330 0.1670 0.8958
Fe 0.8330 0.6659 0.8958
O 0.0000 0.0000 0.1918
O 0.0000 0.0000 0.4310
O 0.0000 0.0000 0.6920
O 0.0000 0.0000 0.9318
O 0.0145 0.5073 0.1899
O 0.0275 0.5137 0.6885
O 0.1530 0.3060 0.8553
O 0.1530 0.8470 0.8553
O 0.1611 0.3221 0.3565
O 0.1611 0.8389 0.3565
O 0.1773 0.3545 0.1001
O 0.1773 0.8227 0.1001
O 0.1802 0.3604 0.6018
O 0.1802 0.8198 0.6018
O 0.3063 0.1531 0.7684
O 0.3112 0.1556 0.2671
O 0.3333 0.6667 0.0251
O 0.3333 0.6667 0.2671
O 0.3333 0.6667 0.5254
O 0.3333 0.6667 0.7651
O 0.3606 0.1803 0.5218
O 0.3633 0.1817 0.0218
O 0.4863 0.5137 0.6885
O 0.4863 0.9725 0.6885
O 0.4927 0.5073 0.1899
O 0.4927 0.9855 0.1899
O 0.5140 0.0281 0.4352
O 0.5140 0.0280 0.9356
O 0.5140 0.4860 0.4352
O 0.5140 0.4860 0.9356
O 0.6396 0.8198 0.6018
O 0.6455 0.8227 0.1001
O 0.6667 0.3333 0.1011
O 0.6667 0.3333 0.3586
O 0.6667 0.3333 0.5984
O 0.6667 0.3333 0.8588
O 0.6779 0.8389 0.3565
O 0.6940 0.8470 0.8553
O 0.8183 0.1817 0.0218
O 0.8183 0.6367 0.0218
O 0.8197 0.1803 0.5218
O 0.8197 0.6394 0.5218
O 0.8444 0.1556 0.2671
O 0.8444 0.6888 0.2671
O 0.8469 0.1531 0.7684
O 0.8469 0.6937 0.7684
O 0.9719 0.4860 0.4352
O 0.9720 0.4860 0.9356

Computed properties:
As for the symmetry: P3m1.

Of them, run 1 has the lowest stability.

Run 1
# Li2Mn4OF8

An optimized crystal structure of Li2Mn4OF8 (PBE+U, the Materials Project database).

Unit cell a=7.0650 b=8.0823 c=8.7448 alpha=69.18 beta=66.55 gamma=79.52
Positions (direct):
Li 0.1074 0.2666 0.4102
Li 0.2613 0.7653 0.8682
Li 0.7387 0.2347 0.1318
Li 0.8926 0.7334 0.5898
Mn 0.1724 0.4056 0.7487
Mn 0.2908 0.0995 0.0464
Mn 0.3639 0.5969 0.2656
Mn 0.4384 0.8746 0.4189
Mn 0.5616 0.1254 0.5811
Mn 0.6361 0.4031 0.7344
Mn 0.7092 0.9005 0.9536
Mn 0.8276 0.5944 0.2513
O 0.4203 0.2271 0.7829
O 0.5797 0.7729 0.2171
F 0.0233 0.2385 0.0195
F 0.1327 0.4997 0.2309
F 0.1872 0.6978 0.4895
F 0.2397 0.0866 0.3001
F 0.2713 0.3441 0.5031
F 0.3337 0.9401 0.6483
F 0.3481 0.8384 0.0189
F 0.3502 0.5607 0.7981
F 0.6498 0.4393 0.2019
F 0.6519 0.1616 0.9811
F 0.6663 0.0599 0.3517
F 0.7287 0.6559 0.4969
F 0.7603 0.9134 0.6999
F 0.8128 0.3022 0.5105
F 0.8673 0.5003 0.7691
F 0.9767 0.7615 0.9805

Computed properties:
As for the symmetry: P-1.

Run 2
# Li2Mn4OF8

An optimized crystal structure of Li2Mn4OF8 (PBE+U, the Materials Project database).

Unit cell a=5.4489 b=5.4489 c=14.6895 alpha=90.71 beta=90.71 gamma=59.04
Positions (direct):
Li 0.0039 0.9961 0.5000
Li 0.0093 0.9616 0.7898
Li 0.9616 0.0093 0.2898
Li 0.9961 0.0039 0.0000
Mn 0.3128 0.3399 0.8391
Mn 0.3198 0.3511 0.6359
Mn 0.3399 0.3128 0.3391
Mn 0.3511 0.3198 0.1359
Mn 0.6506 0.6876 0.1886
Mn 0.6664 0.6670 0.9707
Mn 0.6670 0.6664 0.4707
Mn 0.6876 0.6506 0.6886
O 0.0499 0.6100 0.7378
O 0.6100 0.0499 0.2378
F 0.0049 0.6753 0.4104
F 0.0069 0.3281 0.2397
F 0.2964 0.6924 0.9078
F 0.2963 0.9970 0.4098
F 0.2980 0.6595 0.2384
F 0.3281 0.0069 0.7397
F 0.3501 0.9615 0.0685
F 0.3645 0.6780 0.5721
F 0.6562 0.9743 0.5717
F 0.6595 0.2980 0.7384
F 0.6753 0.0049 0.9104
F 0.6780 0.3645 0.0721
F 0.6924 0.2964 0.4078
F 0.9615 0.3501 0.5685
F 0.9743 0.6562 0.0717
F 0.9970 0.2963 0.9098

Computed properties:
As for the symmetry: Cc.

Of them, run 1 has the lowest stability.